Entry 1:
{
  "formula": "Rb2BiI5O15",
  "functional": "PBE-GGA",
  "state": "relaxed",
  "magnetic_moment_mub_per_fu": 0.00,
  "delta_e_f_ev_per_atom": -1.179,
  "spacegroup": "Aem2",
  "rho_g_cm3": 4.88,
  "lattice_angstrom": [[-8.416, 0.000, 0.000], [0.000, 0.000, -8.494], [0.000, -11.940, 4.247]],
  "species": ["Rb", "Rb", "Rb", "Rb", "Bi", "Bi", "I", "I", "I", "I", "I", "I", "I", "I", "I", "I", "O", "O", "O", "O", "O", "O", "O", "O", "O", "O", "O", "O", "O", "O", "O", "O", "O", "O", "O", "O", "O", "O", "O", "O", "O", "O", "O", "O", "O", "O"],
  "fractional_positions": [[0.000, 0.648, 0.000], [0.000, 0.148, 0.000], [0.525, 0.383, 0.500], [0.475, 0.883, 0.500], [0.500, 0.747, 0.000], [0.500, 0.247, 0.000], [0.757, 0.743, 0.734], [0.243, 0.010, 0.266], [0.243, 0.243, 0.734], [0.757, 0.510, 0.266], [0.729, 0.994, 0.211], [0.271, 0.782, 0.789], [0.271, 0.494, 0.211], [0.729, 0.282, 0.789], [0.061, 0.440, 0.500], [0.939, 0.940, 0.500], [0.932, 0.987, 0.162], [0.068, 0.825, 0.838], [0.068, 0.487, 0.162], [0.932, 0.325, 0.838], [0.558, 0.735, 0.675], [0.442, 0.060, 0.325], [0.442, 0.235, 0.675], [0.558, 0.560, 0.325], [0.620, 0.012, 0.085], [0.380, 0.927, 0.915], [0.380, 0.512, 0.085], [0.620, 0.427, 0.915], [0.686, 0.767, 0.161], [0.314, 0.606, 0.839], [0.314, 0.267, 0.161], [0.686, 0.106, 0.839], [0.714, 0.748, 0.877], [0.286, 0.870, 0.123], [0.286, 0.248, 0.877], [0.714, 0.370, 0.123], [0.810, 0.522, 0.672], [0.190, 0.850, 0.328], [0.190, 0.022, 0.672], [0.810, 0.350, 0.328], [0.102, 0.228, 0.500], [0.898, 0.728, 0.500], [0.196, 0.554, 0.614], [0.804, 0.940, 0.386], [0.804, 0.054, 0.614], [0.196, 0.440, 0.386]]
}


Entry 2:
{
  "formula": "SrBiIO2",
  "functional": "PBE-GGA",
  "state": "relaxed",
  "magnetic_moment_mub_per_fu": 0.00,
  "delta_e_f_ev_per_atom": -2.122,
  "spacegroup": "Cmcm",
  "rho_g_cm3": 6.30,
  "lattice_angstrom": [[-2.658, 6.129, -3.507], [-1.844, -3.534, 6.406], [3.792, 3.316, 2.921]],
  "species": ["Sr", "Sr", "Bi", "Bi", "I", "I", "O", "O", "O", "O"],
  "fractional_positions": [[0.907, 0.093, 0.750], [0.093, 0.907, 0.250], [0.573, 0.427, 0.750], [0.427, 0.573, 0.250], [0.245, 0.755, 0.750], [0.755, 0.245, 0.250], [0.267, 0.267, 0.000], [0.267, 0.267, 0.500], [0.733, 0.733, 0.500], [0.733, 0.733, 0.000]]
}


Entry 3:
{
  "formula": "SrBi3I3O4",
  "functional": "PBE-GGA",
  "state": "relaxed",
  "magnetic_moment_mub_per_fu": 0.00,
  "delta_e_f_ev_per_atom": -1.568,
  "spacegroup": "I4mm",
  "rho_g_cm3": 7.11,
  "lattice_angstrom": [[-2.031, 2.031, 16.395], [2.031, -2.031, 16.395], [2.031, 2.031, -16.395]],
  "species": ["Sr", "Bi", "Bi", "Bi", "I", "I", "I", "O", "O", "O", "O"],
  "fractional_positions": [[0.648, 0.648, 0.000], [0.930, 0.930, 0.000], [0.075, 0.075, 0.000], [0.355, 0.355, 0.000], [0.490, 0.490, 0.000], [0.801, 0.801, 0.000], [0.206, 0.206, 0.000], [0.894, 0.394, 0.500], [0.394, 0.894, 0.500], [0.104, 0.604, 0.500], [0.604, 0.104, 0.500]]
}


Entry 4:
{
  "formula": "Bi13Pt3I7",
  "functional": "PBE-GGA",
  "state": "relaxed",
  "magnetic_moment_mub_per_fu": 0.02,
  "delta_e_f_ev_per_atom": -0.391,
  "spacegroup": "P-1",
  "e_above_lowest_polymorph_mev_per_atom": 0,
  "rho_g_cm3": 8.45,
  "lattice_angstrom": [[-8.788, 2.122, 2.269], [-5.304, -12.152, -9.327], [7.297, -10.541, 19.030]],
  "species": ["Bi", "Bi", "Bi", "Bi", "Bi", "Bi", "Bi", "Bi", "Bi", "Bi", "Bi", "Bi", "Bi", "Bi", "Bi", "Bi", "Bi", "Bi", "Bi", "Bi", "Bi", "Bi", "Bi", "Bi", "Bi", "Bi", "Bi", "Bi", "Bi", "Bi", "Bi", "Bi", "Bi", "Bi", "Bi", "Bi", "Bi", "Bi", "Bi", "Bi", "Bi", "Bi", "Bi", "Bi", "Bi", "Bi", "Bi", "Bi", "Bi", "Bi", "Bi", "Bi", "Pt", "Pt", "Pt", "Pt", "Pt", "Pt", "Pt", "Pt", "Pt", "Pt", "Pt", "Pt", "I", "I", "I", "I", "I", "I", "I", "I", "I", "I", "I", "I", "I", "I", "I", "I", "I", "I", "I", "I", "I", "I", "I", "I", "I", "I", "I", "I"],
  "fractional_positions": [[0.614, 0.026, 0.127], [0.386, 0.974, 0.873], [0.689, 0.079, 0.281], [0.311, 0.921, 0.719], [0.517, 0.250, 0.280], [0.483, 0.750, 0.720], [0.438, 0.197, 0.125], [0.562, 0.803, 0.875], [0.941, 0.137, 0.125], [0.059, 0.863, 0.875], [0.018, 0.188, 0.281], [0.982, 0.812, 0.719], [0.848, 0.359, 0.282], [0.152, 0.641, 0.718], [0.767, 0.309, 0.127], [0.233, 0.691, 0.873], [0.107, 0.306, 0.124], [0.893, 0.694, 0.876], [0.189, 0.359, 0.280], [0.811, 0.641, 0.720], [0.186, 0.580, 0.283], [0.814, 0.420, 0.717], [0.112, 0.527, 0.128], [0.888, 0.473, 0.872], [0.767, 0.527, 0.124], [0.233, 0.473, 0.876], [0.843, 0.578, 0.280], [0.157, 0.422, 0.720], [0.014, 0.750, 0.280], [0.986, 0.250, 0.720], [0.935, 0.697, 0.125], [0.065, 0.303, 0.875], [0.438, 0.637, 0.124], [0.562, 0.363, 0.876], [0.514, 0.688, 0.280], [0.486, 0.312, 0.720], [0.686, 0.860, 0.281], [0.314, 0.140, 0.719], [0.606, 0.806, 0.124], [0.394, 0.194, 0.876], [0.264, 0.810, 0.128], [0.736, 0.190, 0.872], [0.345, 0.860, 0.282], [0.655, 0.140, 0.718], [0.269, 0.027, 0.124], [0.731, 0.973, 0.876], [0.348, 0.080, 0.281], [0.652, 0.920, 0.719], [0.859, 0.120, 0.500], [0.141, 0.880, 0.500], [0.158, 0.378, 0.503], [0.842, 0.622, 0.497], [0.730, 0.193, 0.205], [0.270, 0.807, 0.795], [0.979, 0.444, 0.205], [0.021, 0.556, 0.795], [0.725, 0.693, 0.204], [0.275, 0.307, 0.796], [0.478, 0.944, 0.205], [0.522, 0.056, 0.795], [0.226, 0.694, 0.204], [0.774, 0.306, 0.796], [0.230, 0.194, 0.204], [0.770, 0.806, 0.796], [0.480, 0.445, 0.209], [0.520, 0.555, 0.791], [0.981, 0.946, 0.210], [0.019, 0.054, 0.790], [0.382, 0.378, 0.008], [0.618, 0.622, 0.992], [0.875, 0.375, 0.999], [0.125, 0.625, 0.001], [0.627, 0.126, 0.000], [0.373, 0.874, 0.000], [0.123, 0.122, 0.992], [0.877, 0.878, 0.008], [0.065, 0.002, 0.414], [0.935, 0.998, 0.586], [0.592, 0.017, 0.423], [0.408, 0.983, 0.577], [0.675, 0.228, 0.578], [0.325, 0.772, 0.422], [0.166, 0.234, 0.576], [0.834, 0.766, 0.424], [0.847, 0.260, 0.423], [0.153, 0.740, 0.577], [0.343, 0.277, 0.424], [0.657, 0.723, 0.576], [0.400, 0.478, 0.594], [0.600, 0.522, 0.406], [0.905, 0.485, 0.574], [0.095, 0.515, 0.426]]
}